# 1
Entry from the Materials Project database: a relaxed Li5Fe8B8O24 crystal (PBE+U).

a b c (Å): 5.2938 9.0676 10.1254
angles (deg): 90.39 91.63 90.34
Positions (direct):
1 Li 0.0000 0.0000 0.0000
2 Li 0.0138 0.9906 0.5135
3 Li 0.3257 0.0032 0.2494
4 Li 0.4961 0.4956 0.9797
5 Li 0.8196 0.5104 0.2488
6 Fe 0.0034 0.3356 0.4723
7 Fe 0.3218 0.6686 0.7300
8 Fe 0.3240 0.3412 0.2264
9 Fe 0.4950 0.1548 0.9734
10 Fe 0.5081 0.8268 0.4781
11 Fe 0.8156 0.1693 0.7298
12 Fe 0.8198 0.8382 0.2237
13 Fe 0.9940 0.6577 0.9752
14 B 0.0060 0.6689 0.4743
15 B 0.3203 0.3315 0.7270
16 B 0.3252 0.6672 0.2201
17 B 0.4898 0.1653 0.4716
18 B 0.4952 0.8322 0.9761
19 B 0.8243 0.1669 0.2254
20 B 0.8292 0.8338 0.7259
21 B 0.9963 0.3290 0.9757
22 O 0.0670 0.6643 0.1886
23 O 0.0733 0.3098 0.6722
24 O 0.2422 0.6772 0.5357
25 O 0.2502 0.3259 0.0137
26 O 0.3482 0.9556 0.9861
27 O 0.3606 0.2950 0.4407
28 O 0.3676 0.0328 0.4585
29 O 0.3848 0.6972 0.9355
30 O 0.4115 0.4683 0.7536
31 O 0.4426 0.7979 0.2628
32 O 0.4633 0.2071 0.7573
33 O 0.4685 0.5411 0.2059
34 O 0.5686 0.1645 0.1919
35 O 0.5784 0.8130 0.6903
36 O 0.7495 0.1746 0.5119
37 O 0.7527 0.8371 0.0090
38 O 0.8534 0.4525 0.9849
39 O 0.8830 0.1940 0.9284
40 O 0.8843 0.7992 0.4385
41 O 0.8964 0.5330 0.4456
42 O 0.9343 0.9736 0.7116
43 O 0.9380 0.2998 0.2716
44 O 0.9713 0.0433 0.2109
45 O 0.9745 0.7167 0.7688

Results
* SG: P1, No. 1
* excess energy over the best structure of this formula in the dataset: 0.005 eV per atom
* E_form: -2.287 eV per atom



# 2
Entry from the Materials Project database: a relaxed CaCrF5 crystal (PBE+U).

a b c (Å): 5.6116 5.6116 7.6802
angles (deg): 110.11 110.11 71.73
Positions (direct):
1 Ca 0.0421 0.9579 0.7500
2 Ca 0.9579 0.0421 0.2500
3 Cr 0.5000 0.5000 0.0000
4 Cr 0.5000 0.5000 0.5000
5 F 0.1948 0.7823 0.0286
6 F 0.2177 0.8052 0.4714
7 F 0.2478 0.2896 0.3805
8 F 0.2896 0.2478 0.8805
9 F 0.4230 0.5770 0.7500
10 F 0.5770 0.4230 0.2500
11 F 0.7104 0.7522 0.1195
12 F 0.7522 0.7104 0.6195
13 F 0.7823 0.1948 0.5286
14 F 0.8052 0.2177 0.9714

Results
* SG: C2/c, No. 15
* excess energy over the best structure of this formula in the dataset: 0.000 eV per atom
* E_form: -3.561 eV per atom